## CoH10C4N4O8 (PBE+U)

Data for an optimized crystal structure of CoH10C4N4O8.

```
108
Lattice="0.000 -8.383 0.000 -10.008 0.000 0.000 0.000 0.000 -12.440" Properties=species:S:1:pos:R:3 pbc="T T T"
H -1.615 -5.420 -4.220
O -9.761 -1.324 -2.277
O -0.247 -7.058 -8.497
Co -5.634 -6.561 -6.690
O -8.963 -1.099 -8.614
C -8.161 -6.798 -11.458
O -6.096 -1.828 -4.567
H -9.906 -5.867 -2.240
N -9.555 -4.971 -1.845
H -6.112 -2.723 -11.070
O -1.988 -5.983 -11.865
H -9.768 -7.928 -8.468
H -6.619 -7.154 -4.220
H -1.022 -4.646 -0.519
O -3.959 -3.092 -8.614
O -2.763 -6.035 -3.182
O -8.113 -0.746 -12.259
N -9.895 -0.153 -5.446
N -4.551 -7.603 -1.845
H -8.848 -4.581 -8.153
H -0.072 -1.759 -3.106
H -3.455 -5.072 -6.359
O -3.109 -3.446 -12.259
O -6.000 -7.559 -4.899
H -1.108 -1.469 -11.070
C -1.211 -0.222 -5.612
N -4.253 -5.265 -5.733
C -2.270 -7.013 -2.549
N -0.482 -4.102 -1.223
C -7.274 -5.561 -2.549
C -2.734 -2.821 -8.769
N -9.257 -7.308 -5.733
C -1.729 -3.792 -8.109
C -6.733 -0.399 -8.109
H -4.302 -3.204 -5.276
O -1.045 -7.283 -2.394
C -8.797 -8.161 -11.831
O -4.007 -0.823 -11.119
H -6.553 -3.310 -0.139
H -5.244 -3.737 -2.248
C -3.157 -5.775 -11.458
H -5.106 -1.676 -8.460
O -6.049 -5.291 -2.394
H -3.844 -7.993 -8.153
H -3.896 -5.660 -4.850
C -1.847 -1.584 -5.238
O -2.125 -4.890 -7.632
N -5.755 -3.117 -11.953
O -8.915 -6.020 -10.786
N -9.526 -4.281 -7.443
H -8.900 -6.914 -4.850
H -8.459 -7.501 -6.359
H -6.091 -0.171 -4.808
O -4.757 -2.867 -2.277
H -1.549 -0.881 -0.139
H -1.160 -3.802 -1.933
H -0.702 -7.396 -11.496
O -7.766 -6.539 -3.182
H -8.986 -3.737 -6.739
O -1.895 -7.637 -6.039
H -6.026 -7.928 -0.519
H -4.932 -5.951 -9.325
H -3.389 -1.229 -10.440
N -5.457 -0.779 -8.065
N -0.751 -1.074 -11.953
O -2.879 -0.699 -1.412
N -0.453 -3.412 -8.065
O -3.912 -6.554 -10.786
O -6.992 -6.591 -11.865
O -7.129 -7.683 -7.632
O -7.245 -2.348 -9.402
C -6.215 -3.970 -5.612
N -0.112 -8.229 -11.666
H -1.088 -4.021 -4.808
H -9.305 -0.987 -5.276
Co -4.374 -1.821 -0.470
H -8.392 -2.963 -10.440
O -9.011 -3.368 -11.119
N -5.116 -4.344 -11.666
C -6.851 -2.607 -5.238
H -6.164 -0.390 -1.933
O -3.016 -1.792 -5.645
N -4.522 -8.293 -7.443
C -3.275 -7.984 -1.889
H -3.916 -8.212 -11.028
O -7.883 -3.492 -1.412
O -2.241 -1.844 -9.402
H -8.920 -4.362 -11.028
Co -0.630 -6.012 -6.690
O -1.092 -2.363 -4.567
O -0.996 -5.014 -4.899
H -3.982 -0.454 -6.739
H -9.936 -6.623 -9.325
C -3.793 -4.413 -11.831
H -4.902 -6.707 -2.240
Co -9.378 -2.370 -0.470
N -4.891 -4.038 -5.446
H -5.076 -2.432 -3.106
O -8.020 -2.399 -5.645
C -8.279 -4.590 -1.889
O -5.251 -5.515 -8.497
N -5.486 -0.089 -1.223
H -4.764 -4.646 -8.468
H -0.102 -2.516 -8.460
C -7.738 -1.370 -8.769
H -0.240 -0.455 -2.248
O -6.899 -4.937 -6.039
H -5.706 -5.178 -11.496
```

## Properties
For the spin magnetization, the calculation gives 1.00 μB/f.u. Its total energy after the MP2020 corrections is -0.47491 Ry/atom. Its energy relative to the elements is -873.4 meV per atom. The value obtained for the raw total energy is -6.197 eV per atom. The space-group type is Pna2_1.